Record 1
First-principles (PBE) data for a relaxed NaH2SNO3 crystal, as listed in the Materials Project.

abc: 5.137 13.608 17.839
angles: 90.00 90.00 90.00
Space group P2_12_12_1 (No. 19)
Asymmetric unit:
Na 0.030 0.221 0.178
Na 0.035 0.505 0.225
Na 0.130 0.217 0.670
H 0.016 0.391 0.973
H 0.084 0.333 0.425
H 0.096 0.956 0.911
H 0.136 0.774 0.029
H 0.156 0.998 0.521
H 0.178 0.498 0.979
S 0.010 0.470 0.855
S 0.018 0.102 0.871
S 0.063 0.241 0.000
N 0.012 0.466 0.957
N 0.039 0.025 0.933
N 0.115 0.827 0.069
O 0.023 0.671 0.198
O 0.107 0.567 0.837
O 0.108 0.213 0.910
O 0.159 0.839 0.882
O 0.187 0.391 0.835
O 0.203 0.102 0.808
O 0.238 0.051 0.161
O 0.248 0.627 0.655
O 0.248 0.819 0.810

Properties
density	1.90	g/cm³
total moment	0.42	μB/f.u.
E	-5.081	eV/atom
excess energy over the best structure of this formula in the dataset	722	meV/atom

Record 2
First-principles (PBE) data for a relaxed Ba2SmCu3O7 crystal, as listed in the Materials Project.

abc: 3.878 3.939 11.854
angles: 90.00 90.00 90.00
Space group Pmmm (No. 47)
Asymmetric unit:
Ba 0.000 0.000 0.180
Sm 0.000 0.000 0.500
Cu 0.500 0.500 0.000
Cu 0.500 0.500 0.349
O 0.000 0.500 0.375
O 0.500 0.000 0.000
O 0.500 0.000 0.374
O 0.500 0.500 0.159

Properties
density	6.67	g/cm³
total moment	0.01	μB/f.u.
MP2020-corrected energy	-83.7	eV per cell
E	-6.068	eV/atom

Record 3
First-principles (PBE) data for a relaxed YMnSn2 crystal, as listed in the Materials Project.

abc: 10.486 11.462 9.019
angles: 90.00 90.00 90.00
Space group Pbam (No. 55)
Asymmetric unit:
Y 0.165 0.180 0.000
Y 0.171 0.452 0.244
Mn 0.000 0.000 0.243
Mn 0.088 0.755 0.247
Sn 0.041 0.622 0.000
Sn 0.045 0.625 0.500
Sn 0.124 0.905 0.500
Sn 0.129 0.899 0.000
Sn 0.162 0.181 0.339

Properties
density	7.01	g/cm³
total moment	2.99	μB/f.u.
E	-6.301	eV/atom

Record 4
First-principles (PBE) data for a relaxed VCrGeC crystal, as listed in the Materials Project.

abc: 2.9662 2.9662 12.1583
angles: 90.00 90.00 120.00
Space group P-3m1 (No. 164)
Asymmetric unit:
V 0.3333 0.6667 0.0894
Cr 0.3333 0.6667 0.4163
Ge 0.3333 0.6667 0.7434
C 0.0000 0.0000 0.0000
C 0.0000 0.0000 0.5000

Properties
density	6.72	g/cm³
total moment	0.00	μB/f.u.
E	-8.419	eV/atom

Record 5
First-principles (PBE) data for a relaxed LaAu3F12 crystal, as listed in the Materials Project.

abc: 10.7638 10.7638 16.7712
angles: 90.00 90.00 120.00
Space group R-3c (No. 167, hexagonal axes)
Asymmetric unit:
La 0.0000 0.0000 0.2500
Au 0.0000 0.4109 0.2500
F 0.0000 0.2262 0.2500
F 0.0000 0.4092 0.7500
F 0.0136 0.1636 0.8588

Properties
density	5.67	g/cm³
MP2020-corrected energy	-432.2	eV per cell
E	-4.156	eV/atom

Record 6
First-principles (PBE) data for a relaxed LiH8C4O5F9 crystal, as listed in the Materials Project.

abc: 25.729 11.583 8.088
angles: 90.00 101.80 90.00
Space group C2/c (No. 15)
Asymmetric unit:
Li 0.234 0.083 0.067
H 0.137 0.145 0.012
H 0.159 0.184 0.850
H 0.191 0.450 0.083
H 0.192 0.314 0.054
H 0.194 0.130 0.586
H 0.199 0.319 0.685
H 0.247 0.373 0.607
H 0.249 0.398 0.312
C 0.063 0.136 0.560
C 0.076 0.354 0.624
C 0.101 0.243 0.556
C 0.105 0.266 0.366
O 0.150 0.219 0.651
O 0.169 0.172 0.977
O 0.214 0.384 0.082
O 0.227 0.086 0.579
O 0.231 0.371 0.709
F 0.016 0.144 0.450
F 0.024 0.370 0.555
F 0.053 0.124 0.718
F 0.060 0.310 0.269
F 0.081 0.347 0.795
F 0.087 0.037 0.525
F 0.103 0.451 0.594
F 0.117 0.167 0.291
F 0.145 0.342 0.360

Properties
density	1.77	g/cm³
total moment	0.00	μB/f.u.
MP2020-corrected energy	-1210.4	eV per cell
E	-5.323	eV/atom

Number 1: calculated formation energy -0.653 eV/atom. Number 2: calculated formation energy -2.169 eV/atom. Number 3: calculated formation energy -0.389 eV/atom. Number 4: calculated formation energy -0.272 eV/atom. Number 5: calculated formation energy -2.144 eV/atom. Number 6: calculated formation energy -1.606 eV/atom.